1.
Density functional theory data (GGA-PBE) for a relaxed structure of Na12Mg4Ta2Si3P6O36.

abc: 9.0950 9.0950 21.9982
angles: 90.00 90.00 120.00
Last column: nearest neighbours and their distance in Å.
Fractional coordinates of all 126 atoms:
O 0.1702 0.4837 0.2559  1 P 1.61
O 0.6338 0.1478 0.4231  1 Si 1.68
O 0.8323 0.8004 0.5843  1 P 1.55
O 0.5163 0.6865 0.2559  1 P 1.61
O 0.9681 0.8004 0.0843  1 P 1.55
O 0.5163 0.8298 0.7559  1 P 1.61
O 0.9807 0.1927 0.3066  1 P 1.53
O 0.8437 0.3193 0.5286  1 P 1.61
O 0.6718 0.1506 0.7456  1 P 1.55
O 0.5481 0.7009 0.9801  1 Si 1.59
O 0.8522 0.4860 0.4231  1 Si 1.68
O 0.6718 0.5212 0.2456  1 P 1.55
O 0.8494 0.5212 0.7456  1 P 1.55
O 0.8522 0.3662 0.9231  1 Si 1.68
O 0.4787 0.1266 0.6428  1 P 1.53
O 0.2120 0.1927 0.8066  1 P 1.53
O 0.8494 0.3282 0.2456  1 P 1.55
O 0.3135 0.8298 0.2559  1 P 1.61
O 0.8437 0.5244 0.0286  1 P 1.61
O 0.4972 0.8648 0.3611  1 Si 1.70
O 0.8171 0.9944 0.4094  1 Si 1.60
O 0.6807 0.5244 0.5286  1 P 1.61
O 0.4972 0.6325 0.8611  1 Si 1.70
O 0.1773 0.1829 0.4094  1 Si 1.60
O 0.8073 0.7880 0.3066  1 P 1.53
O 0.5074 0.6444 0.5815  1 P 1.54
O 0.2991 0.8472 0.9801  1 Si 1.59
O 0.1352 0.6325 0.3611  1 Si 1.70
O 0.4756 0.3193 0.0286  1 P 1.61
O 0.1370 0.6444 0.0815  1 P 1.54
O 0.3135 0.4837 0.7559  1 P 1.61
O 0.2120 0.0193 0.3066  1 P 1.53
O 0.1863 0.2225 0.6924  1 P 1.54
O 0.4787 0.3521 0.1428  1 P 1.53
O 0.8734 0.5213 0.1428  1 P 1.53
O 0.5074 0.8630 0.0815  1 P 1.54
O 0.1352 0.5028 0.8611  1 Si 1.70
O 0.0362 0.8137 0.6924  1 P 1.54
O 0.7775 0.9638 0.6924  1 P 1.54
O 0.3675 0.8648 0.8611  1 Si 1.70
O 0.9807 0.7880 0.8066  1 P 1.53
O 0.1996 0.0319 0.5843  1 P 1.55
O 0.6807 0.1563 0.0286  1 P 1.61
O 0.5481 0.8472 0.4801  1 Si 1.59
O 0.4788 0.1506 0.2456  1 P 1.55
O 0.1702 0.6865 0.7559  1 P 1.61
O 0.4756 0.1563 0.5286  1 P 1.61
O 0.0056 0.8227 0.4094  1 Si 1.60
O 0.6479 0.5213 0.6428  1 P 1.53
O 0.3556 0.8630 0.5815  1 P 1.54
O 0.6338 0.4860 0.9231  1 Si 1.68
O 0.5140 0.3662 0.4231  1 Si 1.68
O 0.9681 0.1677 0.5843  1 P 1.55
O 0.1863 0.9638 0.1924  1 P 1.54
O 0.2991 0.4519 0.4801  1 Si 1.59
O 0.1773 0.9944 0.9094  1 Si 1.60
O 0.1528 0.4519 0.9801  1 Si 1.59
O 0.8323 0.0319 0.0843  1 P 1.55
O 0.7775 0.8137 0.1924  1 P 1.54
O 0.6479 0.1266 0.1428  1 P 1.53
O 0.1528 0.7009 0.4801  1 Si 1.59
O 0.1370 0.4926 0.5815  1 P 1.54
O 0.1996 0.1677 0.0843  1 P 1.55
O 0.8171 0.8227 0.9094  1 Si 1.60
O 0.8073 0.0193 0.8066  1 P 1.53
O 0.0056 0.1829 0.9094  1 Si 1.60
O 0.5140 0.1478 0.9231  1 Si 1.68
O 0.3675 0.5028 0.3611  1 Si 1.70
O 0.8734 0.3521 0.6428  1 P 1.53
O 0.3556 0.4926 0.0815  1 P 1.54
O 0.4788 0.3282 0.7456  1 P 1.55
O 0.0362 0.2225 0.1924  1 P 1.54
Si 0.6287 0.6680 0.9211  4 O 1.59-1.70
Si 0.6287 0.9607 0.4211  4 O 1.59-1.70
Si 0.0393 0.3713 0.9211  4 O 1.59-1.70
Si 0.0393 0.6680 0.4211  4 O 1.59-1.70
Si 0.3320 0.3713 0.4211  4 O 1.59-1.70
Si 0.3320 0.9607 0.9211  4 O 1.59-1.70
Ta 0.6667 0.3333 0.9787  6 O 1.98-2.00
Ta 0.6667 0.3333 0.4787  6 O 1.98-2.00
Ta 0.3333 0.6667 0.8177  6 O 1.92-2.09
Ta 0.3333 0.6667 0.3177  6 O 1.92-2.09
Mg 0.6667 0.3333 0.6831  6 O 2.01-2.18
Mg 0.3333 0.6667 0.5165  6 O 1.99-2.22
Mg 0.0000 0.0000 0.8510  6 O 2.08-2.09
Mg 0.0000 0.0000 0.3510  6 O 2.08-2.09
Mg 0.6667 0.3333 0.1831  6 O 2.01-2.18
Mg 0.0000 0.0000 0.1492  6 O 2.11-2.21
Mg 0.3333 0.6667 0.0165  6 O 1.99-2.22
Mg 0.0000 0.0000 0.6492  6 O 2.11-2.21
Na 0.3333 0.6667 0.1592  6 O 2.41-2.65
Na 0.9868 0.6361 0.2440  5 O 2.43-2.66
Na 0.6493 0.6361 0.7440  5 O 2.43-2.66
Na 0.3333 0.6667 0.6592  6 O 2.41-2.65
Na 0.7115 0.0194 0.9143  4 O 2.32-2.59
Na 0.6667 0.3333 0.3272  6 O 2.46-2.62
Na 0.0000 0.0000 0.4946  6 O 2.49-2.60
Na 0.3639 0.3507 0.2440  5 O 2.43-2.66
Na 0.3079 0.0194 0.4143  4 O 2.32-2.59
Na 0.3079 0.2885 0.9143  4 O 2.32-2.59
Na 0.0448 0.3368 0.0809  6 O 2.44-2.65
Na 0.9868 0.3507 0.7440  5 O 2.43-2.66
Na 0.6632 0.9552 0.5809  6 O 2.44-2.65
Na 0.6493 0.0132 0.2440  5 O 2.43-2.66
Na 0.7115 0.6921 0.4143  4 O 2.32-2.59
Na 0.0000 0.0000 0.9946  6 O 2.49-2.60
Na 0.2919 0.9552 0.0809  6 O 2.44-2.65
Na 0.9806 0.2885 0.4143  4 O 2.32-2.59
Na 0.9806 0.6921 0.9143  4 O 2.32-2.59
Na 0.2919 0.3368 0.5809  6 O 2.44-2.65
Na 0.6667 0.3333 0.8272  6 O 2.46-2.62
Na 0.6632 0.7081 0.0809  6 O 2.44-2.65
Na 0.0448 0.7081 0.5809  6 O 2.44-2.65
Na 0.3639 0.0132 0.7440  5 O 2.43-2.66
P 0.3734 0.0402 0.5861  4 O 1.53-1.61
P 0.3734 0.3333 0.0861  4 O 1.53-1.61
P 0.7007 0.9964 0.7497  4 O 1.53-1.61
P 0.0036 0.2993 0.2497  4 O 1.53-1.61
P 0.0036 0.7042 0.7497  4 O 1.53-1.61
P 0.6667 0.0402 0.0861  4 O 1.53-1.61
P 0.2958 0.2993 0.7497  4 O 1.53-1.61
P 0.9598 0.6266 0.0861  4 O 1.53-1.61
P 0.2958 0.9964 0.2497  4 O 1.53-1.61
P 0.7007 0.7042 0.2497  4 O 1.53-1.61
P 0.9598 0.3333 0.5861  4 O 1.53-1.61
P 0.6667 0.6266 0.5861  4 O 1.53-1.61

Output
- ρ: 3.3 g/cm³
- Formation enthalpy at 0 K: -17278.4 kJ/mol of formula units

***

2.
Density functional theory data (GGA-PBE) for a relaxed structure of LiB6H6.

abc: 9.6235 6.8026 9.8652
angles: 48.66 90.00 90.00
Last column: nearest neighbours and their distance in Å.
Fractional coordinates of all 52 atoms:
H 0.8125 0.2714 0.5550  1 B 1.20
H 0.7935 0.9964 0.9304  1 B 1.20
H 0.5633 0.0239 0.7015  1 B 1.21
H 0.8965 0.5238 0.5976  1 B 1.21
H 0.8256 0.6763 0.8178  1 B 1.20
H 0.7065 0.9964 0.4304  1 B 1.20
H 0.6136 0.4906 0.6796  1 B 1.20
H 0.1875 0.7286 0.4450  1 B 1.20
H 0.3125 0.7286 0.9450  1 B 1.20
H 0.2065 0.0036 0.0696  1 B 1.20
H 0.0633 0.9761 0.7985  1 B 1.21
H 0.9367 0.0239 0.2015  1 B 1.21
H 0.3256 0.3237 0.6822  1 B 1.20
H 0.1035 0.4762 0.4024  1 B 1.21
H 0.3864 0.5094 0.3204  1 B 1.20
H 0.1744 0.3237 0.1822  1 B 1.20
H 0.6035 0.5238 0.0976  1 B 1.21
H 0.2935 0.0036 0.5696  1 B 1.20
H 0.6744 0.6763 0.3178  1 B 1.20
H 0.1136 0.5094 0.8204  1 B 1.20
H 0.3965 0.4762 0.9024  1 B 1.21
H 0.4367 0.9761 0.2985  1 B 1.21
H 0.6875 0.2714 0.0550  1 B 1.20
H 0.8864 0.4906 0.1796  1 B 1.20
B 0.0384 0.9868 0.6737  1 H 1.21
B 0.9616 0.0132 0.3263  1 H 1.21
B 0.5615 0.7252 0.0546  1 H 1.21
B 0.4385 0.2748 0.9454  1 H 1.21
B 0.3276 0.0022 0.0413  1 H 1.20
B 0.3942 0.1866 0.8174  1 H 1.20
B 0.6058 0.8134 0.1826  1 H 1.20
B 0.1058 0.1866 0.3174  1 H 1.20
B 0.3907 0.8419 0.9679  1 H 1.20
B 0.8276 0.9978 0.4587  1 H 1.20
B 0.4322 0.7160 0.1878  1 H 1.20
B 0.1724 0.0022 0.5413  1 H 1.20
B 0.5384 0.0132 0.8263  1 H 1.21
B 0.0678 0.7160 0.6878  1 H 1.20
B 0.9385 0.7252 0.5546  1 H 1.21
B 0.1093 0.8419 0.4679  1 H 1.20
B 0.9322 0.2840 0.3122  1 H 1.20
B 0.8907 0.1581 0.5321  1 H 1.20
B 0.8942 0.8134 0.6826  1 H 1.20
B 0.0615 0.2748 0.4454  1 H 1.21
B 0.5678 0.2840 0.8122  1 H 1.20
B 0.6093 0.1581 0.0321  1 H 1.20
B 0.4616 0.9868 0.1737  1 H 1.21
B 0.6724 0.9978 0.9587  1 H 1.20
Li 0.3748 0.3583 0.1742  3 H 1.94-2.10
Li 0.6252 0.6417 0.8258  3 H 1.94-2.10
Li 0.1252 0.3583 0.6742  3 H 1.94-2.10
Li 0.8748 0.6417 0.3258  3 H 1.94-2.10

Output
- ρ: 1.1 g/cm³
- Distance to the lowest polymorph of the same formula: 2 meV per atom
- Formation enthalpy at 0 K: -502.4 kJ/mol of formula units

***

3.
Density functional theory data (GGA-PBE) for a relaxed structure of Na3HS2O8.

abc: 8.7454 9.2323 9.7901
angles: 90.00 90.12 108.56
Last column: nearest neighbours and their distance in Å.
Fractional coordinates of all 56 atoms:
H 0.8768 0.8820 0.7592  1 O 1.11
H 0.8759 0.3825 0.7414  1 O 1.10
H 0.1008 0.1137 0.2719  1 O 1.08
H 0.1214 0.6109 0.2540  1 O 1.13
Na 0.3794 0.1190 0.8441  5 O 2.35-2.54
Na 0.2498 0.7156 0.9958  6 O 2.36-2.54
Na 0.0032 0.4972 0.5005  3 O 2.21-2.43
Na 0.6146 0.3677 0.3393  5 O 2.36-2.53
Na 0.4985 0.4905 0.0014  5 O 2.36-2.60
Na 0.0071 0.0006 0.0052  3 O 2.22-2.44
Na 0.7472 0.2747 0.0043  6 O 2.42-2.52
Na 0.4968 0.9947 0.5010  4 O 2.30-2.45
Na 0.6143 0.8662 0.1556  6 O 2.35-2.61
Na 0.3792 0.6204 0.6581  5 O 2.34-2.53
Na 0.2564 0.2164 0.5094  6 O 2.36-2.57
Na 0.7498 0.7731 0.4967  6 O 2.37-2.53
O 0.8111 0.9139 0.8445  1 H 1.11
O 0.7447 0.5028 0.1248  1 S 1.49
O 0.0313 0.1402 0.3541  1 H 1.08
O 0.0329 0.6393 0.1575  1 H 1.30
O 0.2535 0.9865 0.6242  1 S 1.49
O 0.9659 0.3510 0.8417  1 H 1.35
O 0.5342 0.7713 0.9069  1 S 1.48
O 0.4133 0.1210 0.3276  1 S 1.49
O 0.4053 0.6200 0.1743  1 S 1.48
O 0.4639 0.2186 0.0944  1 S 1.49
O 0.8397 0.2807 0.3585  1 S 1.46
O 0.1892 0.5776 0.3403  1 H 1.13
O 0.1574 0.7096 0.6420  1 S 1.48
O 0.1590 0.8690 0.8434  1 S 1.50
O 0.5354 0.2691 0.5940  1 S 1.48
O 0.2550 0.4863 0.8753  1 S 1.49
O 0.5973 0.8676 0.6741  1 S 1.48
O 0.5972 0.3682 0.8265  1 S 1.48
O 0.7420 0.0028 0.3756  1 S 1.48
O 0.9653 0.8504 0.6585  1 H 1.34
O 0.8103 0.4156 0.6567  1 H 1.10
O 0.8409 0.7803 0.1434  1 S 1.47
O 0.1904 0.0793 0.1687  1 H 1.38, 1 S 1.51
O 0.8489 0.1216 0.1591  1 S 1.49
O 0.1580 0.3691 0.6561  1 S 1.50
O 0.8413 0.6200 0.3439  1 S 1.50
O 0.6133 0.0452 0.8646  1 S 1.47
O 0.3824 0.4428 0.3665  1 S 1.46
O 0.3848 0.9447 0.1345  1 S 1.48
O 0.1577 0.2094 0.8568  1 S 1.48
O 0.4656 0.7169 0.4074  1 S 1.48
O 0.6094 0.5430 0.6346  1 S 1.47
S 0.6313 0.8991 0.8208  4 O 1.47-1.55
S 0.3680 0.5891 0.3212  4 O 1.46-1.54
S 0.1358 0.8525 0.6921  4 O 1.48-1.52
S 0.8624 0.6370 0.1925  4 O 1.47-1.52
S 0.3657 0.0901 0.1816  4 O 1.48-1.51
S 0.6300 0.3988 0.6794  4 O 1.47-1.55
S 0.8582 0.1372 0.3101  4 O 1.46-1.56
S 0.1360 0.3527 0.8077  4 O 1.48-1.52

Output
- ρ: 2.3 g/cm³
- Formation enthalpy at 0 K: -2791.6 kJ/mol of formula units

***

4.
Density functional theory data (GGA-PBE) for a relaxed structure of Sc2Sb.

abc: 4.2300 4.2300 7.8579
angles: 90.00 90.00 90.00
Last column: nearest neighbours and their distance in Å.
Fractional coordinates of all 6 atoms:
Sb 0.5000 0.0000 0.7199  9 Sc 2.95-3.05
Sb 0.0000 0.5000 0.2801  9 Sc 2.95-3.05
Sc 0.5000 0.0000 0.3446  5 Sb 2.95-3.03
Sc 0.5000 0.5000 0.0000  4 Sc 2.99, 4 Sb 3.05
Sc 0.0000 0.5000 0.6554  5 Sb 2.95-3.03
Sc 0.0000 0.0000 0.0000  4 Sc 2.99, 4 Sb 3.05

Output
- ρ: 5.0 g/cm³
- Formation enthalpy at 0 K: -245.1 kJ/mol of formula units

***

5.
Density functional theory data (GGA-PBE) for a relaxed structure of Mg6ZrMn.

abc: 4.9940 6.1406 11.1847
angles: 90.00 90.00 90.00
Last column: nearest neighbours and their distance in Å.
Fractional coordinates of all 16 atoms:
Zr 0.5000 0.5000 0.1743  10 Mg 3.05-3.22, 2 Mn 3.07
Zr 0.5000 0.0000 0.6743  10 Mg 3.05-3.22, 2 Mn 3.07
Mg 0.0000 0.2521 0.5851  8 Mg 3.03-3.35, 2 Mn 3.04, 2 Zr 3.10
Mg 0.5000 0.2484 0.9218  8 Mg 3.05-3.15, 2 Mn 3.08-3.30, 2 Zr 3.16-3.22
Mg 0.0000 0.5000 0.3316  2 Zr 3.05, 10 Mg 3.07-3.22
Mg 0.5000 0.7484 0.4218  8 Mg 3.05-3.15, 2 Mn 3.08-3.30, 2 Zr 3.16-3.22
Mg 0.5000 0.7516 0.9218  8 Mg 3.05-3.15, 2 Mn 3.08-3.30, 2 Zr 3.16-3.22
Mg 0.0000 0.7521 0.0851  8 Mg 3.03-3.35, 2 Mn 3.04, 2 Zr 3.10
Mg 0.0000 0.0000 0.3196  10 Mg 3.03-3.35, 2 Mn 3.06
Mg 0.0000 0.5000 0.8196  10 Mg 3.03-3.35, 2 Mn 3.06
Mg 0.0000 0.2479 0.0851  8 Mg 3.03-3.35, 2 Mn 3.04, 2 Zr 3.10
Mg 0.0000 0.0000 0.8316  2 Zr 3.05, 10 Mg 3.07-3.22
Mg 0.0000 0.7479 0.5851  8 Mg 3.03-3.35, 2 Mn 3.04, 2 Zr 3.10
Mg 0.5000 0.2516 0.4218  8 Mg 3.05-3.15, 2 Mn 3.08-3.30, 2 Zr 3.16-3.22
Mn 0.5000 0.5000 0.6607  10 Mg 3.04-3.30, 2 Zr 3.07
Mn 0.5000 0.0000 0.1607  10 Mg 3.04-3.30, 2 Zr 3.07

Output
- ρ: 2.8 g/cm³
- Distance to the lowest polymorph of the same formula: 29 meV per atom
- Formation enthalpy at 0 K: 116.1 kJ/mol of formula units

***

no.,E_tot (eV per atom)
1,-6.781
2,-5.113
3,-5.618
4,-6.381
5,-3.264